Below is a geometry-optimized Na6Ti11O24 structure, with properties calculated at the PBE-GGA level.

POSCAR file:
```
Na6Ti11O24
1.0
-5.472 1.019 -2.766
-1.446 -2.732 -5.392
-6.163 -11.697 7.262
O Ti Na
24 11 6
Cartesian
-2.214 -2.034 -3.513
-8.637 -10.974 2.439
-2.562 -4.653 2.720
-7.276 -10.499 -0.204
-5.359 -8.223 -0.404
-6.806 -3.741 -5.089
-6.811 -9.109 2.573
-6.329 -11.425 3.601
-8.134 -4.706 -2.598
-12.202 -11.763 -1.900
-6.344 -6.374 -3.765
-3.934 -0.430 -2.391
-8.047 -9.825 4.721
-7.598 -6.136 1.057
-4.989 -1.830 -5.033
-1.626 -0.890 -1.221
-3.459 -2.763 -1.355
-4.332 -6.524 2.680
-7.692 -7.200 -1.505
-5.927 -5.344 -1.452
-10.380 -9.848 -1.842
-9.579 -8.353 1.298
-4.454 -4.105 -3.962
-6.160 -2.515 -2.849
-3.831 -7.251 4.486
-8.806 -9.072 3.025
-4.214 -2.285 -3.196
-6.780 -10.961 1.703
-7.855 -5.412 -0.785
-6.038 -9.587 4.441
-6.425 -4.582 -3.303
-3.473 -0.914 -0.499
-5.851 -7.280 -2.093
-8.243 -11.823 4.255
-1.471 -2.779 -1.805
-8.725 -8.909 -0.646
-4.341 -4.453 -0.293
-8.443 -4.636 -6.318
-5.922 -7.417 1.517
-8.588 -6.784 -3.472
-10.234 -11.851 1.243
```

Computed properties:
total moment: 0.02 μB/cell


Below is a geometry-optimized K2RbPrF6 structure, with properties calculated at the PBE-GGA level.

POSCAR file:
```
K2RbPrF6
1.0
0.213 -5.736 4.024
-3.165 -0.014 6.254
-5.802 -3.809 0.984
F K Pr Rb
6 2 1 1
Cartesian
-6.841 -4.266 6.494
-5.027 -7.338 5.296
-5.142 -4.258 3.136
-1.912 -5.293 4.768
-3.611 -5.300 8.126
-3.726 -2.220 5.966
-2.188 -2.390 2.816
-6.565 -7.169 8.447
0.000 0.000 0.000
-4.377 -4.779 5.631
```

Computed properties:
total moment: 0.02 μB/cell


Below is a geometry-optimized Si3As4 structure, with properties calculated at the PBE-GGA level.

POSCAR file:
```
Si3As4
1.0
5.370 0.000 0.000
0.000 5.370 0.000
0.000 0.000 5.370
Si As
3 4
Cartesian
0.000 2.685 0.000
0.000 0.000 2.685
2.685 0.000 0.000
3.873 3.873 3.873
1.497 3.873 1.497
1.497 1.497 3.873
3.873 1.497 1.497
```

Computed properties:
piezoelectric modulus e_max: 0.34 C/m2


Below is a geometry-optimized Pr2Co5B2 structure, with properties calculated at the PBE-GGA level.

POSCAR file:
```
Pr2Co5B2
1.0
-2.610 -4.519 0.000
-2.610 4.519 0.000
0.000 0.000 -20.200
B Pr Co
8 8 20
Cartesian
-2.610 1.506 -13.626
-2.610 -1.506 -3.526
-2.610 4.519 -16.586
-2.610 -4.519 -3.614
-2.610 -1.506 -6.574
-2.610 1.506 -16.674
-2.610 -4.519 -6.486
-2.610 4.519 -13.714
-2.610 1.507 -6.576
-2.610 1.508 -9.683
-2.610 1.507 -3.524
-2.610 -1.508 -19.783
-2.610 1.508 -0.417
-2.610 -1.508 -10.517
-2.610 -1.507 -13.624
-2.610 -1.507 -16.676
-2.610 3.069 -18.004
-3.965 -0.723 -7.904
-2.610 -3.000 -5.050
-3.904 -0.759 -5.050
-1.316 -0.759 -5.050
-3.965 -0.723 -2.196
-3.965 0.723 -18.004
-1.255 0.723 -12.296
-1.316 0.759 -15.150
0.000 0.000 0.000
-2.610 3.069 -12.296
-2.610 -3.069 -7.904
-2.610 3.000 -15.150
-1.255 -0.723 -2.196
-3.965 0.723 -12.296
-2.610 -3.069 -2.196
-3.904 0.759 -15.150
0.000 0.000 -10.100
-1.255 -0.723 -7.904
-1.255 0.723 -18.004
```

Computed properties:
total moment: 0.00 μB/cell


Below is a geometry-optimized TbSe structure, with properties calculated at the PBE-GGA level.

POSCAR file:
```
TbSe
1.0
-2.897 -2.897 0.000
-2.897 0.000 -2.897
0.000 -2.897 -2.897
Se Tb
1 1
Cartesian
0.000 0.000 0.000
-2.897 -2.897 -2.897
```


Below is a geometry-optimized Na3HfSi2SnPO12 structure, with properties calculated at the PBE-GGA level.

POSCAR file:
```
Na3HfSi2SnPO12
1.0
9.076 -0.003 -0.001
-4.541 7.850 0.003
-0.002 0.006 22.633
O P Si Na Sn Hf
72 6 12 18 6 6
Cartesian
-2.981 7.635 20.618
5.264 4.116 16.840
3.861 4.298 11.800
0.698 3.515 10.763
5.076 6.383 2.014
3.410 3.941 14.455
3.529 3.963 20.879
-0.605 1.483 20.626
3.932 4.105 5.531
1.581 5.499 5.797
5.595 1.237 0.717
3.970 6.171 6.979
6.293 2.338 12.008
6.120 2.387 5.533
3.591 1.207 5.525
5.269 0.940 3.200
3.947 0.932 14.524
-1.048 6.571 21.978
-1.678 5.402 17.116
7.422 0.203 1.981
3.596 6.448 20.603
0.962 3.972 1.778
-3.399 6.458 15.756
0.637 6.859 8.133
3.407 6.514 4.320
2.867 2.824 9.533
3.394 1.266 11.867
0.846 6.599 17.051
1.819 0.260 6.982
2.739 7.608 15.540
7.400 0.266 18.168
1.726 5.005 19.569
6.371 2.881 14.513
0.755 6.746 1.758
-1.068 3.879 19.425
-0.722 3.816 5.758
-2.788 7.544 4.480
5.167 4.245 0.580
0.615 1.650 15.610
-0.595 6.703 13.106
6.106 2.875 20.882
1.807 5.454 22.051
-1.591 5.030 1.784
8.084 1.352 13.316
0.746 1.497 9.304
1.556 0.264 13.323
5.382 3.939 9.517
0.844 1.307 1.963
-3.571 6.623 9.318
2.975 2.371 16.878
1.167 6.602 10.771
-0.631 3.620 22.051
1.552 5.002 13.069
5.527 1.419 16.837
-0.702 6.867 19.370
-1.007 6.581 5.820
-1.765 5.015 8.077
-1.722 5.540 10.706
2.858 2.834 3.133
2.765 2.393 0.526
3.807 6.449 13.282
5.621 3.982 3.205
1.038 3.855 8.271
5.234 6.175 18.250
-0.662 1.679 4.258
2.970 7.641 9.346
7.968 1.301 6.912
1.087 1.339 18.246
-0.934 3.851 13.068
5.077 1.148 9.560
3.799 1.220 20.836
0.583 3.747 17.090
5.864 0.309 1.922
2.646 5.245 20.784
7.196 2.637 13.226
1.307 2.926 9.467
5.851 5.541 16.989
2.643 0.010 5.700
-1.335 7.554 20.708
3.208 5.568 5.654
6.410 0.011 16.897
3.213 4.920 13.167
-1.310 2.292 5.631
1.859 2.593 1.869
1.336 2.307 16.938
1.334 7.560 9.442
-2.670 5.225 9.415
3.198 0.308 13.199
-1.347 2.939 20.737
5.858 4.943 1.895
4.603 2.635 7.569
4.548 2.559 18.858
4.541 7.790 11.327
0.057 5.258 15.081
3.337 0.013 16.995
5.804 0.016 5.686
6.195 4.950 5.702
1.653 2.348 20.786
-1.202 2.624 1.936
0.020 5.166 3.782
3.336 5.254 9.475
0.060 0.017 0.019
7.436 2.834 16.992
5.803 5.249 20.770
2.888 0.210 9.463
1.252 2.629 13.230
2.885 5.441 1.914
1.658 7.571 13.238
4.487 2.628 15.501
9.029 0.004 7.975
0.048 0.023 3.354
-0.033 5.278 11.735
4.576 2.636 10.903
4.547 7.795 14.660
4.535 2.571 22.215
0.003 5.189 7.121
-0.068 5.244 0.440
4.500 2.663 4.218
0.052 5.260 18.421
9.029 0.053 19.281
```

Computed properties:
total moment: 0.00 μB/cell


Below is a geometry-optimized Cs2GeSe3 structure, with properties calculated at the PBE-GGA level.

POSCAR file:
```
Cs2GeSe3
1.0
0.569 3.598 -6.656
-6.621 -0.170 -4.983
-3.800 8.782 0.098
Cs Se Ge
4 6 2
Cartesian
-4.789 3.174 -7.343
-8.622 6.521 -5.861
-5.064 9.036 -4.198
-1.231 5.689 -5.680
-4.812 1.205 -4.085
-8.029 8.784 -8.913
-5.075 5.164 -4.029
-5.040 11.006 -7.456
-4.777 7.046 -7.512
-1.823 3.426 -2.628
-4.118 3.139 -2.980
-5.734 9.071 -8.561
```


Below is a geometry-optimized Rb16Sn16F47 structure, with properties calculated at the PBE-GGA level.

POSCAR file:
```
Rb16Sn16F47
1.0
10.332 0.000 0.000
1.735 10.218 0.000
5.095 4.360 15.608
Sn F Rb
16 47 16
Cartesian
10.319 8.613 8.174
7.114 10.369 9.794
6.842 5.973 7.442
9.458 8.165 15.215
4.526 8.186 1.955
11.408 9.835 12.113
11.647 5.262 9.556
5.516 9.325 6.061
7.791 6.419 0.368
8.781 2.802 2.132
8.895 7.758 4.251
8.276 6.857 11.339
10.041 4.212 5.827
8.306 11.538 13.673
5.735 4.786 3.492
12.633 6.377 13.654
6.289 7.526 11.234
6.811 9.982 4.610
10.401 3.934 8.131
9.656 6.080 15.135
5.105 3.466 1.753
9.649 4.004 0.717
5.513 5.556 5.636
9.694 8.982 6.019
12.118 4.037 5.856
9.530 9.515 3.280
7.470 5.600 9.583
5.250 3.001 4.469
10.875 7.064 4.376
13.433 9.280 12.196
7.294 12.438 9.716
10.133 10.690 8.258
12.898 5.969 11.356
4.654 10.260 1.932
8.098 7.705 13.446
7.493 8.493 0.460
11.638 9.025 9.965
12.094 11.111 13.843
10.340 4.593 10.985
7.644 5.129 12.342
9.848 2.141 5.861
10.277 1.375 1.971
7.891 1.699 0.334
4.924 5.815 8.317
4.325 11.024 5.886
14.704 11.100 14.981
9.123 6.959 2.136
6.943 13.141 13.644
9.304 12.871 15.303
5.035 10.531 9.706
2.452 8.309 1.977
6.780 10.751 11.979
3.705 5.281 3.419
2.528 3.568 0.576
11.960 11.587 11.114
14.702 6.206 13.608
6.754 10.655 7.433
10.330 3.783 3.579
12.823 3.554 9.705
7.044 3.898 7.338
12.238 8.761 7.291
4.257 8.584 4.255
12.472 4.309 13.688
5.088 4.619 11.274
11.615 5.734 1.915
8.860 11.622 5.844
8.288 2.947 9.789
6.674 5.409 15.152
12.991 11.426 8.307
12.104 9.902 4.382
10.519 9.190 0.434
11.465 13.852 13.626
14.589 12.106 12.167
5.504 8.793 13.711
14.237 8.004 9.837
2.922 6.569 5.794
5.642 0.680 1.951
2.582 2.473 3.432
4.171 3.157 7.301
```

Computed properties:
total moment: 1.23 μB/cell


Below is a geometry-optimized Ga3Ge3N5 structure, with properties calculated at the PBE-GGA level.

POSCAR file:
```
Ga3Ge3N5
1.0
-3.084 2.820 -3.470
-5.135 -4.180 -1.582
-2.040 5.317 7.542
N Ga Ge
10 6 6
Cartesian
-4.816 4.315 5.384
-5.136 6.019 2.509
-5.123 -2.062 -0.019
-7.818 -0.266 -0.944
-5.443 -0.358 -2.893
-7.399 2.197 4.373
-2.860 1.761 -1.882
-2.371 1.096 2.648
-7.889 2.861 -0.158
-2.442 4.223 3.434
-8.501 1.051 0.443
-3.691 3.208 -0.969
-4.567 -1.851 -1.836
-5.693 5.808 4.326
-1.759 2.906 2.048
-6.568 0.749 3.459
-8.229 3.629 3.267
-6.739 0.840 -2.183
-6.395 3.472 0.953
-3.521 3.118 4.674
-2.031 0.328 -0.777
-3.865 0.485 1.538
```

Computed properties:
total moment: 0.00 μB/cell


Below is a geometry-optimized Li3IrF6 structure, with properties calculated at the PBE-GGA level.

POSCAR file:
```
Li3IrF6
1.0
5.072 -0.494 2.335
2.280 4.353 2.697
0.517 -0.119 5.581
Li F Ir
3 6 1
Cartesian
3.935 1.870 5.306
5.903 2.806 7.959
1.968 0.935 2.653
4.495 0.707 3.844
5.617 2.849 5.171
3.375 3.034 6.769
3.121 3.093 4.022
2.253 0.891 5.441
4.749 0.648 6.591
0.000 0.000 0.000
```

Computed properties:
total moment: 0.00 μB/cell


Formation enthalpy at 0 K: -3.124; -3.403; -0.013; -0.260; -1.999; -2.895; -1.136; -2.745; -0.204; -2.351 (eV per atom)